## A
MgNb2I6O2 | PBE-GGA | relaxed

The structure in POSCAR format:
```
MgNb2I6O2
1.0
-0.760 -2.323 -3.073
5.781 -5.360 0.117
-6.170 -8.775 5.627
I Nb O Mg
6 2 2 1
direct
0.909 0.830 0.377 I
0.340 0.642 0.707 I
0.681 0.368 0.292 I
0.118 0.744 0.044 I
0.120 0.167 0.618 I
0.893 0.284 0.954 I
0.140 0.944 0.805 Nb
0.905 0.032 0.182 Nb
0.391 0.080 0.162 O
0.621 0.957 0.829 O
0.272 0.360 0.120 Mg
```

## B
MgNb2I6O2 | PBE-GGA | relaxed

The structure in POSCAR format:
```
MgNb2I6O2
1.0
-2.054 3.169 -0.990
-5.595 0.650 5.984
6.206 8.594 6.829
O I Nb Mg
2 6 2 1
direct
0.407 0.048 0.165 O
0.622 0.957 0.823 O
0.331 0.657 0.706 I
0.913 0.834 0.365 I
0.905 0.256 0.966 I
0.691 0.341 0.295 I
0.115 0.175 0.622 I
0.119 0.752 0.040 I
0.901 0.044 0.183 Nb
0.141 0.952 0.792 Nb
0.712 0.509 0.099 Mg
```

Stability, descending: A, B

## A
MgI2O16 | PBE-GGA | relaxed

The structure in POSCAR format:
```
MgI2O16
1.0
5.196 0.000 0.000
0.000 10.507 0.000
0.000 4.415 9.990
O I Mg
32 4 2
direct
0.803 0.797 0.613 O
0.849 0.318 0.852 O
0.869 0.083 0.344 O
0.231 0.656 0.968 O
0.769 0.344 0.032 O
0.151 0.682 0.148 O
0.918 0.059 0.073 O
0.349 0.682 0.648 O
0.362 0.414 0.550 O
0.269 0.656 0.468 O
0.638 0.586 0.450 O
0.418 0.941 0.427 O
0.685 0.556 0.155 O
0.131 0.917 0.656 O
0.303 0.203 0.887 O
0.731 0.344 0.532 O
0.197 0.203 0.387 O
0.082 0.941 0.927 O
0.315 0.444 0.845 O
0.185 0.444 0.345 O
0.651 0.318 0.352 O
0.862 0.586 0.950 O
0.444 0.188 0.196 O
0.815 0.556 0.655 O
0.697 0.797 0.113 O
0.138 0.414 0.050 O
0.631 0.083 0.844 O
0.369 0.917 0.156 O
0.056 0.188 0.696 O
0.556 0.812 0.804 O
0.944 0.812 0.304 O
0.582 0.059 0.573 O
0.461 0.863 0.626 I
0.961 0.137 0.874 I
0.539 0.137 0.374 I
0.039 0.863 0.126 I
0.000 0.500 0.500 Mg
0.500 0.500 0.000 Mg
```

## B
MgI2O16 | PBE-GGA | relaxed

The structure in POSCAR format:
```
MgI2O16
1.0
6.618 0.000 0.000
0.000 11.287 0.000
0.000 8.088 11.093
O I Mg
32 4 2
direct
0.643 0.751 0.600 O
0.134 0.447 0.176 O
0.517 0.673 0.904 O
0.727 0.171 0.001 O
0.983 0.673 0.404 O
0.773 0.171 0.501 O
0.581 0.005 0.343 O
0.634 0.553 0.324 O
0.857 0.751 0.100 O
0.919 0.005 0.843 O
0.387 0.644 0.857 O
0.791 0.478 0.795 O
0.982 0.704 0.926 O
0.483 0.327 0.096 O
0.419 0.995 0.657 O
0.887 0.356 0.643 O
0.709 0.478 0.295 O
0.017 0.327 0.596 O
0.018 0.296 0.074 O
0.291 0.522 0.705 O
0.227 0.829 0.499 O
0.209 0.522 0.205 O
0.518 0.704 0.426 O
0.866 0.553 0.824 O
0.113 0.644 0.357 O
0.081 0.995 0.157 O
0.366 0.447 0.676 O
0.357 0.249 0.400 O
0.613 0.356 0.143 O
0.273 0.829 0.999 O
0.482 0.296 0.574 O
0.143 0.249 0.900 O
0.010 0.832 0.968 I
0.510 0.168 0.532 I
0.990 0.168 0.032 I
0.490 0.832 0.468 I
0.000 0.500 0.000 Mg
0.500 0.500 0.500 Mg
```

Stability, descending: B, A

## A
NaSr2IO6 | PBE-GGA | relaxed

The structure in POSCAR format:
```
NaSr2IO6
1.0
-5.417 -1.980 0.913
1.731 -5.420 -1.488
1.903 -1.556 7.877
Na Sr O I
2 4 12 2
direct
0.500 0.500 0.000 Na
0.000 0.000 0.500 Na
0.493 0.962 0.250 Sr
0.507 0.038 0.750 Sr
0.007 0.462 0.250 Sr
0.993 0.538 0.750 Sr
0.762 0.313 0.535 O
0.681 0.764 0.541 O
0.073 0.977 0.775 O
0.181 0.736 0.041 O
0.738 0.813 0.965 O
0.819 0.264 0.959 O
0.927 0.023 0.225 O
0.319 0.236 0.459 O
0.262 0.187 0.035 O
0.238 0.687 0.465 O
0.573 0.523 0.275 O
0.427 0.477 0.725 O
0.500 0.500 0.500 I
0.000 0.000 0.000 I
```

## B
NaSr2IO6 | PBE-GGA | relaxed

The structure in POSCAR format:
```
NaSr2IO6
1.0
0.000 4.110 4.110
4.110 0.000 4.110
4.110 4.110 0.000
O I Sr Na
6 1 2 1
direct
0.770 0.230 0.230 O
0.770 0.770 0.230 O
0.770 0.230 0.770 O
0.230 0.230 0.770 O
0.230 0.770 0.230 O
0.230 0.770 0.770 O
0.000 0.000 0.000 I
0.750 0.750 0.750 Sr
0.250 0.250 0.250 Sr
0.500 0.500 0.500 Na
```

Stability, descending: A, B

## A
NbI5 | PBE-GGA | relaxed

The structure in POSCAR format:
```
NbI5
1.0
7.672 0.050 -0.131
-3.678 6.831 -2.662
-0.022 -0.149 10.738
I Nb
10 2
direct
0.221 0.173 0.957 I
0.120 0.632 0.851 I
0.703 0.983 0.749 I
0.077 0.826 0.571 I
0.574 0.438 0.675 I
0.426 0.562 0.325 I
0.880 0.368 0.149 I
0.923 0.174 0.429 I
0.779 0.827 0.043 I
0.297 0.017 0.251 I
0.100 0.215 0.221 Nb
0.900 0.785 0.779 Nb
```

## B
NbI5 | PBE-GGA | relaxed

The structure in POSCAR format:
```
NbI5
1.0
6.591 0.000 0.000
0.000 11.060 0.000
0.000 5.142 14.389
I Nb
20 4
direct
0.751 0.382 0.580 I
0.272 0.813 0.150 I
0.749 0.382 0.080 I
0.249 0.618 0.420 I
0.251 0.000 0.328 I
0.747 0.618 0.770 I
0.247 0.382 0.730 I
0.228 0.813 0.650 I
0.772 0.187 0.350 I
0.751 0.000 0.172 I
0.230 0.184 0.058 I
0.730 0.816 0.442 I
0.249 0.000 0.828 I
0.753 0.618 0.270 I
0.253 0.382 0.230 I
0.251 0.618 0.920 I
0.749 0.000 0.672 I
0.728 0.187 0.850 I
0.770 0.816 0.942 I
0.270 0.184 0.558 I
0.000 0.788 0.803 Nb
0.000 0.212 0.197 Nb
0.500 0.212 0.697 Nb
0.500 0.788 0.303 Nb
```

Stability, descending: A, B

## A
Nb6I11 | PBE-GGA | relaxed

The structure in POSCAR format:
```
Nb6I11
1.0
-4.045 -10.313 -3.555
12.619 -5.514 1.637
-3.635 -3.809 15.184
Nb I
24 44
direct
0.367 0.328 0.954 Nb
0.405 0.728 0.395 Nb
0.929 0.869 0.049 Nb
0.129 0.830 0.951 Nb
0.867 0.672 0.046 Nb
0.068 0.629 0.951 Nb
0.107 0.724 0.098 Nb
0.367 0.828 0.546 Nb
0.129 0.330 0.549 Nb
0.429 0.131 0.951 Nb
0.905 0.272 0.605 Nb
0.107 0.224 0.402 Nb
0.568 0.871 0.451 Nb
0.867 0.172 0.454 Nb
0.405 0.228 0.105 Nb
0.429 0.631 0.549 Nb
0.629 0.170 0.049 Nb
0.629 0.670 0.451 Nb
0.905 0.772 0.895 Nb
0.068 0.129 0.549 Nb
0.607 0.776 0.598 Nb
0.568 0.371 0.049 Nb
0.929 0.369 0.451 Nb
0.607 0.276 0.902 Nb
0.523 0.972 0.607 I
0.800 0.313 0.009 I
0.468 0.525 0.396 I
0.968 0.475 0.604 I
0.468 0.025 0.104 I
0.968 0.975 0.896 I
0.842 0.071 0.611 I
0.800 0.813 0.491 I
0.702 0.314 0.505 I
0.300 0.187 0.509 I
0.818 0.045 0.124 I
0.665 0.558 0.113 I
0.766 0.821 0.741 I
0.202 0.186 0.005 I
0.099 0.729 0.792 I
0.842 0.571 0.889 I
0.766 0.321 0.759 I
0.318 0.455 0.624 I
0.653 0.072 0.889 I
0.023 0.528 0.107 I
0.023 0.028 0.393 I
0.153 0.428 0.389 I
0.818 0.545 0.376 I
0.202 0.686 0.495 I
0.523 0.472 0.893 I
0.165 0.442 0.887 I
0.665 0.058 0.387 I
0.300 0.687 0.991 I
0.099 0.229 0.708 I
0.342 0.429 0.111 I
0.702 0.814 0.995 I
0.266 0.679 0.241 I
0.165 0.942 0.613 I
0.912 0.267 0.294 I
0.266 0.179 0.259 I
0.599 0.271 0.208 I
0.412 0.233 0.794 I
0.342 0.929 0.389 I
0.318 0.955 0.876 I
0.412 0.733 0.706 I
0.912 0.767 0.206 I
0.153 0.928 0.111 I
0.653 0.572 0.611 I
0.599 0.771 0.292 I
```

## B
Nb6I11 | PBE-GGA | relaxed

The structure in POSCAR format:
```
Nb6I11
1.0
11.638 0.000 0.000
0.000 13.793 0.000
0.000 0.000 16.249
I Nb
44 24
direct
0.250 0.560 0.750 I
0.318 0.798 0.381 I
0.351 0.816 0.891 I
0.799 0.944 0.003 I
0.537 0.275 0.397 I
0.250 0.060 0.750 I
0.649 0.684 0.391 I
0.463 0.225 0.897 I
0.149 0.316 0.891 I
0.701 0.444 0.003 I
0.963 0.775 0.397 I
0.037 0.225 0.603 I
0.851 0.684 0.109 I
0.351 0.316 0.609 I
0.601 0.982 0.795 I
0.299 0.556 0.997 I
0.682 0.202 0.619 I
0.818 0.202 0.881 I
0.682 0.702 0.881 I
0.101 0.018 0.295 I
0.537 0.775 0.103 I
0.399 0.518 0.295 I
0.963 0.275 0.103 I
0.750 0.940 0.250 I
0.182 0.798 0.119 I
0.463 0.725 0.603 I
0.318 0.298 0.119 I
0.601 0.482 0.705 I
0.182 0.298 0.381 I
0.899 0.982 0.705 I
0.750 0.440 0.250 I
0.701 0.944 0.497 I
0.399 0.018 0.205 I
0.851 0.184 0.391 I
0.818 0.702 0.619 I
0.201 0.056 0.997 I
0.149 0.816 0.609 I
0.799 0.444 0.497 I
0.649 0.184 0.109 I
0.299 0.056 0.503 I
0.899 0.482 0.795 I
0.037 0.725 0.897 I
0.201 0.556 0.503 I
0.101 0.518 0.205 I
0.096 0.520 0.898 Nb
0.596 0.480 0.398 Nb
0.373 0.417 0.452 Nb
0.127 0.417 0.048 Nb
0.904 0.480 0.102 Nb
0.596 0.980 0.102 Nb
0.096 0.020 0.602 Nb
0.073 0.119 0.451 Nb
0.427 0.619 0.451 Nb
0.573 0.381 0.549 Nb
0.404 0.520 0.602 Nb
0.873 0.583 0.952 Nb
0.627 0.083 0.952 Nb
0.073 0.619 0.049 Nb
0.904 0.980 0.398 Nb
0.373 0.917 0.048 Nb
0.573 0.881 0.951 Nb
0.927 0.881 0.549 Nb
0.873 0.083 0.548 Nb
0.427 0.119 0.049 Nb
0.627 0.583 0.548 Nb
0.404 0.020 0.898 Nb
0.927 0.381 0.951 Nb
0.127 0.917 0.452 Nb
```

Stability, descending: A, B